No. 1
The following is a PBE-GGA calculation of a relaxed structure of UFe10Re2, from the Materials Project database.

a = 4.603 Å, b = 6.433 Å, c = 6.433 Å
α = 96.35°, β = 110.96°, γ = 69.04°
Atoms (fractional coordinates):
1 Re 0.000 0.356 0.356
2 Re 0.000 0.644 0.644
3 Fe 0.286 0.214 0.786
4 Fe 0.500 0.000 0.500
5 Fe 0.000 0.500 0.000
6 Fe 0.714 0.786 0.214
7 Fe 0.500 0.222 0.222
8 Fe 0.645 0.355 0.645
9 Fe 0.355 0.645 0.355
10 Fe 0.000 0.000 0.500
11 Fe 0.500 0.778 0.778
12 Fe 0.500 0.500 0.000
13 U 0.000 0.000 0.000

=====

No. 2
The following is a PBE-GGA calculation of a relaxed structure of YFe10Re2, from the Materials Project database.

a = 4.705 Å, b = 6.479 Å, c = 6.479 Å
α = 97.15°, β = 111.29°, γ = 68.71°
Atoms (fractional coordinates):
1 Fe 0.000 0.000 0.500
2 Fe 0.500 0.000 0.500
3 Fe 0.500 0.772 0.772
4 Fe 0.280 0.220 0.780
5 Fe 0.641 0.359 0.641
6 Fe 0.720 0.780 0.220
7 Fe 0.500 0.228 0.228
8 Fe 0.000 0.500 0.000
9 Fe 0.359 0.641 0.359
10 Fe 0.500 0.500 0.000
11 Re 0.000 0.643 0.643
12 Re 0.000 0.357 0.357
13 Y 0.000 0.000 0.000

=====

No. 3
The following is a PBE-GGA calculation of a relaxed structure of YFe11Re, from the Materials Project database.

a = 4.688 Å, b = 6.457 Å, c = 6.457 Å
α = 98.03°, β = 111.28°, γ = 68.72°
Atoms (fractional coordinates):
1 Re 0.638 0.362 0.638
2 Fe 0.999 0.642 0.640
3 Fe 0.500 0.999 0.500
4 Fe 0.498 0.777 0.774
5 Fe 0.001 0.500 0.001
6 Fe 0.001 0.999 0.500
7 Fe 0.360 0.640 0.360
8 Fe 0.498 0.226 0.223
9 Fe 0.999 0.360 0.358
10 Fe 0.500 0.500 0.001
11 Fe 0.271 0.229 0.771
12 Fe 0.729 0.771 0.229
13 Y 0.005 0.995 0.005

=====

No. 4
The following is a PBE-GGA calculation of a relaxed structure of ZrFeRe, from the Materials Project database.

a = 5.082 Å, b = 5.080 Å, c = 8.446 Å
α = 90.00°, β = 90.00°, γ = 61.29°
Atoms (fractional coordinates):
1 Zr 0.665 0.665 0.444
2 Zr 0.333 0.333 0.569
3 Zr 0.333 0.333 0.931
4 Zr 0.665 0.665 0.056
5 Re 0.168 0.168 0.250
6 Re 0.665 0.167 0.250
7 Re 0.835 0.835 0.750
8 Re 0.167 0.665 0.250
9 Fe 0.344 0.835 0.750
10 Fe 0.996 0.996 0.512
11 Fe 0.996 0.996 0.988
12 Fe 0.835 0.344 0.750

=====

No. 5
The following is a PBE-GGA calculation of a relaxed structure of FeRh, from the Materials Project database.

a = 4.539 Å, b = 4.539 Å, c = 4.539 Å
α = 34.63°, β = 34.63°, γ = 34.63°
Atoms (fractional coordinates):
1 Rh 0.500 0.500 0.500
2 Fe 0.000 0.000 0.000

=====

No. 6
The following is a PBE-GGA calculation of a relaxed structure of Fe3Rh, from the Materials Project database.

a = 4.166 Å, b = 4.166 Å, c = 4.166 Å
α = 60.00°, β = 60.00°, γ = 60.00°
Atoms (fractional coordinates):
1 Fe 0.250 0.250 0.250
2 Fe 0.750 0.750 0.750
3 Fe 0.000 0.000 0.000
4 Rh 0.500 0.500 0.500

=====

No. 7
The following is a PBE-GGA calculation of a relaxed structure of FeRh3, from the Materials Project database.

a = 5.432 Å, b = 5.432 Å, c = 4.359 Å
α = 90.00°, β = 90.00°, γ = 120.00°
Atoms (fractional coordinates):
1 Rh 0.337 0.169 0.750
2 Rh 0.663 0.831 0.250
3 Rh 0.831 0.663 0.750
4 Rh 0.169 0.831 0.250
5 Rh 0.169 0.337 0.250
6 Rh 0.831 0.169 0.750
7 Fe 0.333 0.667 0.750
8 Fe 0.667 0.333 0.250

=====

No. 8
The following is a PBE-GGA calculation of a relaxed structure of FeRh, from the Materials Project database.

a = 3.019 Å, b = 3.019 Å, c = 3.019 Å
α = 90.00°, β = 90.00°, γ = 90.00°
Atoms (fractional coordinates):
1 Fe 0.000 0.000 0.000
2 Rh 0.500 0.500 0.500

=====

No. 9
The following is a PBE-GGA calculation of a relaxed structure of Fe3Rh3S8, from the Materials Project database.

a = 6.774 Å, b = 6.774 Å, c = 6.774 Å
α = 60.31°, β = 60.31°, γ = 60.31°
Atoms (fractional coordinates):
1 Fe 0.625 0.625 0.625
2 Fe 0.375 0.375 0.375
3 Fe 0.000 0.000 0.000
4 Rh 0.000 0.500 0.000
5 Rh 0.000 0.000 0.500
6 Rh 0.500 0.000 0.000
7 S 0.240 0.760 0.240
8 S 0.760 0.760 0.240
9 S 0.751 0.751 0.751
10 S 0.240 0.240 0.760
11 S 0.760 0.240 0.760
12 S 0.249 0.249 0.249
13 S 0.240 0.760 0.760
14 S 0.760 0.240 0.240

=====

No. 10
The following is a PBE-GGA calculation of a relaxed structure of FeRh2Se4, from the Materials Project database.

a = 3.674 Å, b = 6.266 Å, c = 6.487 Å
α = 115.87°, β = 73.62°, γ = 90.06°
Atoms (fractional coordinates):
1 Se 0.862 0.451 0.233
2 Se 0.100 0.541 0.765
3 Se 0.618 0.023 0.727
4 Se 0.343 0.984 0.278
5 Rh 0.244 0.706 0.470
6 Rh 0.977 0.999 0.009
7 Fe 0.722 0.295 0.518

=====

No. 11
The following is a PBE-GGA calculation of a relaxed structure of FeRh2Se4, from the Materials Project database.

a = 6.532 Å, b = 6.532 Å, c = 6.482 Å
α = 60.83°, β = 60.83°, γ = 33.27°
Atoms (fractional coordinates):
1 Rh 0.737 0.737 0.280
2 Rh 0.263 0.263 0.720
3 Se 0.119 0.119 0.554
4 Se 0.367 0.367 0.975
5 Se 0.881 0.881 0.446
6 Se 0.633 0.633 0.025
7 Fe 0.000 0.000 0.000

=====

No. 12
The following is a PBE-GGA calculation of a relaxed structure of Sc2Fe3Ru, from the Materials Project database.

a = 4.936 Å, b = 4.936 Å, c = 8.351 Å
α = 90.00°, β = 90.00°, γ = 120.00°
Atoms (fractional coordinates):
1 Sc 0.667 0.333 0.563
2 Sc 0.333 0.667 0.063
3 Sc 0.333 0.667 0.437
4 Sc 0.667 0.333 0.937
5 Fe 0.828 0.172 0.250
6 Fe 0.172 0.344 0.750
7 Fe 0.656 0.828 0.750
8 Fe 0.344 0.172 0.250
9 Fe 0.172 0.828 0.750
10 Fe 0.828 0.656 0.250
11 Ru 0.000 0.000 0.000
12 Ru 0.000 0.000 0.500

=====

Number 1: ΔE_f 0.1 kcal/mol of atoms. Number 2: ΔE_f -0.8 kcal/mol of atoms. Number 3: ΔE_f -0.4 kcal/mol of atoms. Number 4: ΔE_f -6.3 kcal/mol of atoms. Number 5: ΔE_f 0.7 kcal/mol of atoms. Number 6: ΔE_f -0.5 kcal/mol of atoms. Number 7: ΔE_f -0.7 kcal/mol of atoms. Number 8: ΔE_f -1.0 kcal/mol of atoms. Number 9: ΔE_f -15.5 kcal/mol of atoms. Number 10: ΔE_f -13.5 kcal/mol of atoms. Number 11: ΔE_f -13.7 kcal/mol of atoms. Number 12: ΔE_f -7.3 kcal/mol of atoms.